# TbCl

TbCl after structural relaxation (PBE, Materials Project).

Cell: 9.8665 9.8665 9.8665 Å, 22.03 22.03 22.03°
Closest atoms and distances in Å follow each position.
Atoms (fractional coordinates):
Tb: 0.2154 0.2154 0.2154  3 Cl 2.79
Tb: 0.7846 0.7846 0.7846  3 Cl 2.79
Cl: 0.3910 0.3910 0.3910  3 Tb 2.79
Cl: 0.6090 0.6090 0.6090  3 Tb 2.79

Calculated density   5.450 g cm⁻³
Calculated formation energy   -1.77 eV/atom
Energy with MP2020 corrections   -10.0 eV per formula unit